10
Lattice="0.942 -2.919 4.783 -2.786 -4.859 0.958 2.777 -4.954 -0.195" Properties=species:S:1:pos:R:3 comment="Sr2FeWO6, relaxed, DFT PBE with a Hubbard U" energy_corrected_mp2020_ev_per_atom=-7.9089 sg="No. 225" mass_density_g_cm3=6.540 crystal_system=cubic pbc="T T T"
Sr 0.233 -3.183 1.387
Sr 0.699 -9.548 4.160
W 0.000 0.000 0.000
Fe 0.466 -6.366 2.773
O 1.645 -5.645 1.259
O 0.709 -4.607 3.799
O -1.194 -5.596 1.847
O 0.224 -8.124 1.748
O 2.126 -7.135 3.700
O -0.713 -7.086 4.288

=====

20
Lattice="5.743 -0.006 -0.008 -0.005 5.759 -0.010 -0.011 -0.011 8.010" Properties=species:S:1:pos:R:3 comment="Sr2FeWO6, relaxed, DFT PBE with a Hubbard U" energy_corrected_mp2020_ev_per_atom=-8.1131 sg="No. 2" mass_density_g_cm3=6.405 crystal_system=triclinic pbc="T T T"
O 1.329 1.171 4.265
O 2.815 0.359 2.074
O 4.545 4.399 0.258
O 2.911 5.383 5.919
O 4.191 1.684 7.731
O 4.066 1.514 4.270
O 5.688 2.502 1.907
O 0.038 3.240 6.086
O 4.397 4.571 3.728
O 1.535 4.058 0.262
O 1.181 1.343 7.735
O 1.660 4.228 3.723
Fe -0.008 2.874 4.000
Fe 2.871 -0.002 -0.004
Sr 5.579 0.010 6.018
Sr 0.147 5.733 1.975
Sr 2.698 2.841 5.996
Sr 3.028 2.901 1.997
W -0.014 2.868 8.005
W 2.866 -0.008 4.001

=====

20
Lattice="4.950 0.064 2.919 -1.631 4.627 -2.829 -6.483 4.696 5.747" Properties=species:S:1:pos:R:3 comment="Sr2FeWO6, relaxed, DFT PBE with a Hubbard U" energy_corrected_mp2020_ev_per_atom=-8.1103 sg="No. 2" mass_density_g_cm3=6.418 crystal_system=triclinic pbc="T T T"
O -2.417 3.596 1.522
O 2.241 3.779 1.468
O 3.581 1.369 2.676
O -6.678 7.961 3.227
O -5.361 5.534 4.407
O -3.936 8.224 4.482
O -0.213 3.389 3.162
O -3.018 6.057 2.610
O 0.835 1.098 1.397
O -0.504 5.606 1.541
O -0.810 5.857 4.274
O -2.704 3.857 4.259
Sr -3.186 5.889 5.814
Sr 0.033 3.505 0.065
Sr 0.071 3.565 5.772
Sr -3.247 5.815 0.025
Fe -4.848 7.009 2.919
Fe 1.684 2.379 2.919
W -8.087 9.307 2.926
W -1.609 4.710 2.911

=====

20
Lattice="4.228 0.791 3.836 -3.643 4.183 -1.039 -4.497 -6.035 6.351" Properties=species:S:1:pos:R:3 comment="Sr2FeWO6, relaxed, DFT PBE with a Hubbard U" energy_corrected_mp2020_ev_per_atom=-8.1096 sg="No. 2" mass_density_g_cm3=6.421 crystal_system=triclinic pbc="T T T"
O 0.059 0.579 1.866
O -3.836 0.981 2.188
O -4.310 -0.267 4.596
O 0.456 -0.862 4.533
O -3.965 -4.208 5.809
O -1.965 -2.102 5.070
O 0.018 -2.117 6.976
O -4.066 -1.567 7.265
O -6.310 -2.373 5.335
O -1.878 0.953 4.150
O -0.006 3.214 3.357
O 2.329 1.398 3.740
W 4.191 0.813 3.834
W -3.740 1.539 4.056
Sr -2.193 -3.721 7.662
Sr -1.704 2.705 1.426
Sr -2.074 -1.144 2.628
Sr -1.854 0.037 6.578
Fe -4.138 -2.238 5.203
Fe 0.226 1.177 3.944

=====

20
Lattice="4.928 0.035 2.879 -1.604 4.659 2.880 -3.285 -4.637 5.672" Properties=species:S:1:pos:R:3 comment="Sr2FeWO6, relaxed, DFT PBE with a Hubbard U" energy_corrected_mp2020_ev_per_atom=-8.0703 sg="No. 2" mass_density_g_cm3=6.488 crystal_system=triclinic pbc="T T T"
Fe -1.625 -2.290 8.549
Fe -3.246 2.341 5.716
O 0.808 1.131 1.394
O -1.081 -0.963 7.157
O 3.868 -0.851 4.212
O -0.818 -1.131 4.281
O 0.201 -3.269 8.304
O -1.398 1.316 5.501
O -0.162 3.327 3.127
O -3.828 0.909 7.219
O -0.768 -1.073 10.037
O 0.857 1.189 7.151
O 1.438 -1.259 5.930
O 1.121 1.021 4.274
W 0.020 0.029 5.716
W 0.000 0.000 0.000
Sr 1.616 -1.174 2.911
Sr -3.232 -1.106 5.648
Sr 3.272 1.164 5.783
Sr -1.577 1.231 8.520

=====

20
Lattice="-4.173 1.680 3.463 2.772 -4.852 1.096 6.695 1.945 7.042" Properties=species:S:1:pos:R:3 comment="Sr2FeWO6, relaxed, DFT PBE with a Hubbard U" energy_corrected_mp2020_ev_per_atom=-8.0717 sg="No. 1" mass_density_g_cm3=6.473 crystal_system=triclinic pbc="T T T"
Fe 3.282 0.306 8.429
Fe 1.994 -1.535 3.159
W -1.401 -3.145 4.563
W 1.253 1.787 5.245
O 2.705 -3.046 1.976
O 0.407 -2.596 3.701
O 5.689 -2.573 5.503
O 4.940 1.499 7.872
O 2.194 1.119 6.813
O 1.404 0.001 4.406
O 4.313 -0.498 9.991
O 3.033 -2.415 4.769
O -0.446 1.229 6.116
O 3.882 -1.321 7.139
O 2.638 1.911 9.691
O 1.041 -0.688 1.643
Sr 0.934 -1.483 6.481
Sr -1.117 0.054 3.260
Sr 4.402 0.273 5.148
Sr 6.362 -1.278 8.313

=====

10
Lattice="-3.184 4.301 -1.857 -4.594 -2.723 1.920 4.297 1.088 3.610" Properties=species:S:1:pos:R:3 comment="Sr2FeWO6, relaxed, DFT PBE with a Hubbard U" energy_corrected_mp2020_ev_per_atom=-8.1096 sg="No. 2" mass_density_g_cm3=6.413 crystal_system=triclinic pbc="T T T"
W -3.481 2.665 3.672
Fe 0.408 1.876 3.641
Sr -1.387 3.090 0.893
Sr -2.094 -0.424 2.780
O -1.663 1.953 3.832
O -3.679 1.773 1.947
O -1.818 0.713 -0.160
O 0.399 -0.053 4.632
O 0.199 0.893 1.725
O -3.879 2.718 -0.959

=====

24
Lattice="-5.219 -0.092 12.273 -10.066 3.676 7.940 5.866 -5.011 -10.879" Properties=species:S:1:pos:R:3 comment="Sr2YFe2O7, relaxed, DFT PBE with a Hubbard U" energy_corrected_mp2020_ev_per_atom=-7.6163 sg="No. 74" mass_density_g_cm3=4.484 crystal_system=orthorhombic pbc="T T T"
O -4.573 -0.157 1.547
O -5.033 1.838 3.970
O -4.845 -1.271 7.787
O -1.806 -1.395 0.828
O -7.520 0.534 5.445
O -4.709 -0.714 4.667
O -9.332 0.370 10.781
O -7.936 2.519 7.809
O -7.348 1.065 12.404
O -1.898 -1.962 3.889
O -5.628 0.662 10.129
O -7.612 -0.033 8.507
O -9.656 2.922 10.084
O -0.086 -1.798 -1.447
Sr -6.531 -2.009 5.867
Sr -4.316 -2.528 2.938
Sr -5.102 1.100 6.397
Sr -2.887 0.581 3.467
Y -7.642 1.792 10.106
Y 0.000 0.000 0.000
Fe -0.882 -2.249 2.366
Fe -6.039 -1.040 9.186
Fe -3.379 -0.388 0.148
Fe -8.536 0.821 6.968

=====

92
Lattice="-5.189 0.369 3.009 1.297 -4.945 -3.159 14.596 -13.292 26.799" Properties=species:S:1:pos:R:3 comment="SrZn2Fe16O27, relaxed, DFT PBE with a Hubbard U" energy_corrected_mp2020_ev_per_atom=-7.6724 sg="No. 194" mass_density_g_cm3=4.925 crystal_system=hexagonal pbc="T T T"
O 12.201 -14.971 19.803
O 1.602 -5.529 6.720
O 8.936 -12.297 22.918
O 10.358 -11.744 25.302
O -0.259 -3.818 2.820
O 3.788 -7.699 16.231
O -0.833 -5.428 5.230
O -1.497 -2.897 6.846
O 4.415 -9.830 8.818
O 10.176 -13.127 16.085
O 9.101 -12.339 19.929
O 1.768 -5.572 3.731
O 3.764 -7.587 13.422
O 6.893 -10.344 16.358
O 10.963 -14.050 23.830
O 1.191 -7.272 8.947
O 6.289 -8.039 17.831
O 2.161 -3.990 1.417
O 0.528 -4.741 10.564
O 9.689 -14.582 18.496
O 6.940 -10.281 13.227
O 9.545 -14.782 21.343
O -2.520 -1.864 1.883
O 3.184 -4.930 9.024
O 12.449 -13.587 26.380
O 5.600 -5.100 10.282
O 10.068 -13.418 27.761
O 1.014 -3.286 8.153
O 11.455 -12.507 18.564
O -1.745 -4.281 0.269
O 6.916 -10.169 10.419
O 13.224 -16.004 24.766
O 4.535 -10.000 11.799
O 10.663 -15.687 26.311
O 7.520 -12.939 17.625
O 4.383 -9.968 14.781
O 0.346 -6.124 1.347
O 3.800 -7.422 7.462
O 6.169 -7.868 14.850
O 8.996 -8.192 16.517
O 11.537 -12.440 21.420
O 0.636 -4.450 -1.112
O 1.698 -1.546 3.117
O 12.898 -11.746 23.682
O 6.904 -10.446 19.187
O 4.474 -10.172 17.761
O 1.159 -3.086 5.306
O 0.041 -2.181 0.338
O 3.811 -7.524 10.291
O 8.543 -13.878 25.233
O 9.512 -10.596 17.702
O 6.230 -7.696 8.888
O 6.321 -7.900 11.868
O -0.751 -5.362 8.085
Fe 8.262 -11.783 24.744
Fe -0.196 -5.898 3.435
Fe 5.324 -8.710 7.198
Fe 5.352 -8.934 13.325
Fe 1.224 -5.274 8.759
Fe 7.814 -11.078 14.833
Fe -2.595 0.184 1.505
Fe 0.215 -4.158 0.880
Fe 5.380 -9.158 19.452
Fe 10.684 -13.691 20.102
Fe 4.703 -6.461 14.904
Fe 0.020 -4.177 6.547
Fe 7.920 -11.371 21.052
Fe 5.351 -9.032 16.336
Fe 2.784 -6.497 5.597
Fe 8.921 -14.297 23.138
Fe 2.890 -6.791 11.816
Fe -1.946 -2.288 -0.075
Fe 12.350 -15.208 23.160
Fe -1.646 -2.660 3.489
Fe 2.686 -8.522 8.727
Fe 9.479 -12.594 17.890
Fe 5.353 -8.836 10.313
Fe 8.018 -9.346 17.922
Fe 1.783 -3.571 3.511
Fe 4.665 -6.196 8.804
Fe 0.648 -2.473 -1.580
Fe 10.900 -11.971 23.214
Fe 6.039 -11.673 17.846
Fe 7.946 -9.118 11.820
Fe 2.442 -6.085 1.905
Fe 10.489 -13.710 25.769
Sr 3.649 -3.323 6.700
Sr 10.947 -9.969 20.099
Zn 0.840 -0.765 1.542
Zn 6.458 -5.881 11.857
Zn 8.138 -7.411 14.942
Zn 13.756 -12.527 25.257

=====

10
Lattice="2.977 4.486 1.967 -1.337 5.303 -1.718 -2.437 3.672 3.666" Properties=species:S:1:pos:R:3 comment="Sr2ZrFeO6, relaxed, DFT PBE with a Hubbard U" energy_corrected_mp2020_ev_per_atom=-7.8989 sg="No. 225" mass_density_g_cm3=5.215 crystal_system=cubic pbc="T T T"
O 1.338 5.576 1.963
O 0.651 8.304 1.079
O 0.085 7.465 3.849
O -2.135 7.885 1.953
O -0.881 5.996 0.067
O -1.447 5.157 2.837
Fe 0.000 0.000 0.000
Zr -0.398 6.730 1.958
Sr -0.597 10.096 2.937
Sr -0.199 3.365 0.979

=====

36
Lattice="-3.349 3.349 9.229 3.349 -3.349 9.229 3.349 3.349 -9.229" Properties=species:S:1:pos:R:3 comment="TaFeO4, relaxed, DFT PBE with a Hubbard U" energy_corrected_mp2020_ev_per_atom=-9.3286 sg="No. 109" mass_density_g_cm3=7.238 crystal_system=tetragonal pbc="T T T"
Fe 0.000 3.349 4.569
Fe 3.349 0.000 7.645
Fe 0.000 0.000 18.412
Fe 3.349 0.000 4.687
Fe 0.000 0.000 12.259
Fe 0.000 0.000 9.301
O 0.000 2.024 6.189
O 2.005 3.349 1.540
O 0.000 2.016 0.030
O 1.285 0.000 4.611
O 1.314 0.000 7.658
O 2.012 3.349 7.652
O 0.000 2.064 9.226
O 2.016 3.349 4.645
O 3.349 1.344 6.154
O 2.035 3.349 -1.571
O 0.000 2.035 12.272
O 0.000 2.012 3.038
O 1.333 0.000 13.874
O 0.000 4.687 3.038
O 0.000 4.682 0.030
O 1.344 0.000 10.769
O 1.325 0.000 1.574
O 3.349 1.325 -3.040
O 5.373 0.000 1.574
O 3.349 1.285 -0.003
O 3.349 -1.344 6.154
O 2.064 3.349 -4.618
O 3.349 1.314 3.043
O -2.012 3.349 7.652
Ta 0.000 3.349 1.428
Ta 0.000 0.000 15.271
Ta 0.000 0.000 6.268
Ta 3.349 0.000 1.654
Ta 0.000 0.000 3.103
Ta 0.000 3.349 7.717

=====

18
Lattice="3.336 -3.367 0.000 3.336 3.367 0.000 0.000 0.000 9.233" Properties=species:S:1:pos:R:3 comment="TaFeO4, relaxed, DFT PBE with a Hubbard U" energy_corrected_mp2020_ev_per_atom=-9.3316 sg="No. 35" mass_density_g_cm3=7.224 crystal_system=orthorhombic pbc="T T T"
O 2.014 0.000 3.039
O 4.658 0.000 3.039
O 1.997 0.000 6.136
O 3.336 2.030 1.582
O 4.674 0.000 6.136
O 3.336 -2.043 7.665
O 2.019 0.000 0.046
O 3.336 2.043 7.665
O 3.336 2.071 4.592
O 4.653 0.000 0.046
O 3.336 -2.071 4.592
O 3.336 -2.030 1.582
Ta 3.336 0.000 1.454
Ta 0.000 0.000 3.115
Ta 0.000 0.000 6.264
Fe 3.336 0.000 7.638
Fe 3.336 0.000 4.651
Fe 0.000 0.000 0.002